(1)
VASP calculation (PBE-GGA) on an optimized crystal structure of Na6Nb2Al6Si5S7O48.

Unit cell a=17.2058 b=8.6742 c=22.1951 alpha=90.01 beta=90.32 gamma=120.36
Element x y z (fractional)
Na1 0.9894 0.6754 0.9113
Na2 0.3471 0.0304 0.9149
Na3 0.1691 0.3046 0.9128
Na4 0.4892 0.3054 0.4201
Na5 0.6685 0.0320 0.4164
Na6 0.8451 0.6622 0.4181
Na7 0.9996 0.0052 0.4947
Na8 0.4961 0.9925 0.4982
Na9 0.9967 0.0047 0.9957
Na10 0.4993 0.9939 0.9926
Na11 0.3378 0.3441 0.8351
Na12 0.8292 0.3241 0.8237
Na13 0.3306 0.3367 0.3272
Na14 0.8361 0.3286 0.3399
Na15 0.1725 0.6742 0.1651
Na16 0.6647 0.6677 0.1683
Na17 0.1675 0.6637 0.6674
Na18 0.6637 0.6603 0.6599
Nb1 0.9977 0.9864 0.6494
Nb2 0.4980 0.0147 0.6374
Nb3 0.9976 0.9928 0.1418
Nb4 0.4970 0.0083 0.1492
Nb5 0.1641 0.6737 0.3109
Nb6 0.6616 0.6519 0.8080
Al1 0.0057 0.9956 0.3623
Al2 0.4988 0.0108 0.3495
Al3 0.0018 0.9886 0.8464
Al4 0.5032 0.0143 0.8587
Al5 0.3380 0.3495 0.6780
Al6 0.8346 0.3344 0.6948
Al7 0.3361 0.3354 0.1963
Al8 0.8269 0.3145 0.1830
Al9 0.3383 0.3480 0.9707
Al10 0.8305 0.3157 0.9820
Al11 0.3363 0.3459 0.4873
Al12 0.8361 0.3242 0.4722
Al13 0.1733 0.6855 0.0091
Al14 0.6664 0.6726 0.0204
Al15 0.1655 0.6618 0.5221
Al16 0.6663 0.6474 0.5148
Al17 0.6688 0.6543 0.3195
Al18 0.1748 0.6916 0.8155
Si1 0.1426 0.0137 0.2534
Si2 0.3587 0.7060 0.2556
Si3 0.5060 0.3116 0.2563
Si4 0.6425 0.2668 0.7532
Si5 0.0054 0.6984 0.7555
Si6 0.8602 0.0129 0.7557
Si7 0.4808 0.3619 0.5794
Si8 0.3223 0.6068 0.5823
Si9 0.8234 0.0398 0.0813
Si10 0.3119 0.6709 0.9133
Si11 0.5257 0.3792 0.9238
Si12 0.1632 0.9576 0.9181
Si13 0.8089 0.9462 0.4152
Si14 0.6638 0.3681 0.4166
Si15 0.0243 0.6684 0.4241
S1 0.6499 0.0051 0.2509
S2 0.8533 0.6988 0.2496
S3 0.9927 0.2818 0.2502
S4 0.1504 0.2952 0.7515
S5 0.4922 0.7081 0.7509
S6 0.3538 0.0053 0.7506
S7 0.9750 0.3374 0.5824
S8 0.1929 0.0481 0.5823
S9 0.6971 0.0502 0.5825
S10 0.8308 0.6095 0.5822
S11 0.4748 0.6121 0.0824
S12 0.9763 0.6072 0.0821
S13 0.3282 0.0471 0.0818
S14 0.1946 0.3461 0.0822
S15 0.6941 0.3394 0.0821
S16 0.8111 0.6615 0.9214
S17 0.0192 0.3779 0.9185
S18 0.6690 0.9612 0.9189
S19 0.3112 0.9600 0.4204
S20 0.1700 0.3768 0.4190
S21 0.5188 0.6642 0.4161
O1 0.0912 0.0358 0.3092
O2 0.6095 0.0331 0.3055
O3 0.4224 0.8095 0.3115
O4 0.9093 0.7784 0.3036
O5 0.4864 0.1789 0.3123
O6 0.9798 0.1775 0.3043
O7 0.1080 0.1852 0.8067
O8 0.5945 0.1507 0.8111
O9 0.4826 0.7885 0.8060
O10 0.9862 0.7897 0.8130
O11 0.4090 0.0343 0.8055
O12 0.9234 0.0369 0.8123
O13 0.3945 0.9743 0.6954
O14 0.9024 0.9675 0.6938
O15 0.0912 0.2062 0.6964
O16 0.5800 0.1907 0.6925
O17 0.0220 0.8375 0.6948
O18 0.5071 0.8141 0.6962
O19 0.4022 0.8369 0.1934
O20 0.8965 0.8156 0.1938
O21 0.0067 0.1989 0.1950
O22 0.5220 0.2066 0.1941
O23 0.0798 0.9678 0.1918
O24 0.5922 0.9781 0.1951
O25 0.4327 0.3660 0.6411
O26 0.9342 0.3603 0.6370
O27 0.2448 0.1300 0.6381
O28 0.7499 0.1386 0.6370
O29 0.3074 0.4929 0.6430
O30 0.8228 0.5083 0.6368
O31 0.4335 0.5069 0.1369
O32 0.9315 0.5073 0.1372
O33 0.3199 0.1308 0.1367
O34 0.8143 0.1309 0.1423
O35 0.2473 0.3661 0.1366
O36 0.7471 0.3620 0.1379
O37 0.2302 0.3103 0.0272
O38 0.7372 0.3170 0.0279
O39 0.4184 0.5298 0.0281
O40 0.9224 0.5335 0.0264
O41 0.3421 0.1514 0.0269
O42 0.8494 0.1684 0.0238
O43 0.2336 0.1556 0.5275
O44 0.7335 0.1590 0.5272
O45 0.3462 0.5330 0.5229
O46 0.8445 0.5334 0.5269
O47 0.4196 0.3052 0.5183
O48 0.9190 0.3069 0.5280
O49 0.2713 0.7174 0.9738
O50 0.7698 0.6904 0.9745
O51 0.0776 0.4598 0.9736
O52 0.5914 0.4823 0.9792
O53 0.1336 0.8195 0.9756
O54 0.6578 0.8525 0.9729
O55 0.2698 0.8486 0.4733
O56 0.7642 0.8155 0.4742
O57 0.1567 0.4625 0.4720
O58 0.6349 0.4468 0.4733
O59 0.0921 0.6989 0.4779
O60 0.5760 0.6994 0.4707
O61 0.0693 0.6320 0.3621
O62 0.5587 0.6299 0.3620
O63 0.2572 0.8757 0.3635
O64 0.7416 0.8615 0.3566
O65 0.1864 0.4863 0.3631
O66 0.6886 0.4985 0.3587
O67 0.0573 0.4883 0.8645
O68 0.5707 0.5076 0.8629
O69 0.1870 0.8723 0.8614
O70 0.6878 0.8882 0.8640
O71 0.2409 0.6202 0.8573
O72 0.7574 0.6297 0.8652
O73 0.0141 0.8424 0.4131
O74 0.5110 0.8260 0.4094
O75 0.4017 0.9795 0.4138
O76 0.9088 0.9695 0.4037
O77 0.0857 0.2012 0.4119
O78 0.5765 0.1625 0.4074
O79 0.0096 0.1994 0.9135
O80 0.5135 0.1832 0.9129
O81 0.0764 0.9903 0.9079
O82 0.5864 0.9716 0.9130
O83 0.4106 0.8468 0.9030
O84 0.9022 0.8227 0.9151
O85 0.4894 0.1730 0.5853
O86 0.9874 0.1764 0.5874
O87 0.1013 0.0337 0.5859
O88 0.6024 0.0252 0.5875
O89 0.4152 0.8093 0.5920
O90 0.9160 0.7981 0.5864
O91 0.4873 0.7982 0.0873
O92 0.9857 0.7927 0.0860
O93 0.4124 0.0270 0.0862
O94 0.9149 0.0163 0.0906
O95 0.0995 0.1782 0.0884
O96 0.6037 0.1696 0.0858
O97 0.3428 0.1627 0.7427
O98 0.8480 0.1777 0.7410
O99 0.2375 0.3021 0.7444
O100 0.7420 0.3069 0.7416
O101 0.4140 0.5233 0.7454
O102 0.9154 0.5182 0.7389
O103 0.3477 0.5176 0.2409
O104 0.8459 0.5227 0.2381
O105 0.4159 0.3110 0.2390
O106 0.9156 0.3117 0.2417
O107 0.2409 0.1753 0.2405
O108 0.7383 0.1748 0.2430
O109 0.3189 0.4932 0.9242
O110 0.8237 0.5023 0.9282
O111 0.4251 0.3496 0.9270
O112 0.9287 0.3655 0.9257
O113 0.2513 0.1527 0.9298
O114 0.7485 0.1472 0.9256
O115 0.3193 0.1385 0.4228
O116 0.8188 0.1412 0.4252
O117 0.2484 0.3498 0.4253
O118 0.7518 0.3477 0.4278
O119 0.4278 0.4983 0.4214
O120 0.9240 0.4971 0.4275
O121 0.1794 0.4995 0.0762
O122 0.6833 0.4961 0.0785
O123 0.0665 0.6279 0.0788
O124 0.5658 0.6340 0.0766
O125 0.2480 0.8619 0.0774
O126 0.7401 0.8376 0.0734
O127 0.1811 0.8680 0.5779
O128 0.6860 0.8720 0.5767
O129 0.2397 0.6451 0.5737
O130 0.7529 0.6370 0.5784
O131 0.0659 0.4983 0.5765
O132 0.5818 0.5323 0.5743
O133 0.1509 0.8286 0.2572
O134 0.6589 0.8476 0.2540
O135 0.2588 0.6875 0.2586
O136 0.7658 0.6885 0.2530
O137 0.0778 0.4613 0.2529
O138 0.5947 0.5074 0.2600
O139 0.1570 0.4693 0.7555
O140 0.6515 0.4705 0.7578
O141 0.0946 0.6827 0.7601
O142 0.5775 0.6942 0.7550
O143 0.2656 0.8377 0.7555
O144 0.7605 0.8303 0.7607

Properties
Total magnetization = 0.0 μB/f.u.
SG = P1 (1)
Crystal system = triclinic



(2)
VASP calculation (PBE-GGA) on an optimized crystal structure of CsLiMnS2.

Unit cell a=7.6553 b=7.6553 c=7.6553 alpha=148.44 beta=148.44 gamma=45.24
Element x y z (fractional)
Cs1 0.0000 0.0000 0.0000
Li1 0.2500 0.7500 0.5000
Mn1 0.7500 0.2500 0.5000
S1 0.6588 0.6588 0.0000
S2 0.3412 0.3412 0.0000

Properties
Total magnetization = 5.0 μB/f.u.
SG = I-4m2 (119)
Largest piezoelectric modulus = 0.247 C/m²
Crystal system = tetragonal



(3)
VASP calculation (PBE-GGA) on an optimized crystal structure of HfPd.

Unit cell a=5.4258 b=5.4258 c=4.4050 alpha=90.00 beta=90.00 gamma=144.71
Element x y z (fractional)
Hf1 0.8568 0.1432 0.7500
Hf2 0.1432 0.8568 0.2500
Pd1 0.5894 0.4106 0.7500
Pd2 0.4106 0.5894 0.2500

Properties
SG = Cmcm (63)
Crystal system = orthorhombic



In eV per formula unit, the E_form values for the records above are, in order, -191.57, -6.26, -1.38.
In eV per atom, the E_tot values for the records above are, in order, -6.795, -5.098, -8.257.